Entry 1:
The following is a PBE with a Hubbard U calculation of a geometry-optimized Fe2TeO6 structure, from the Materials Project database.

Formation enthalpy at 0 K ... -1.639 eV per atom
Crystal system ... tetragonal

Lattice parameters (Å, degrees): 4.6713 4.6713 9.2170 90.00 90.00 90.00
Positions (direct):
1 Fe 0.5000 0.5000 0.1651
2 Fe 0.0000 0.0000 0.6651
3 Fe 0.0000 0.0000 0.3349
4 Fe 0.5000 0.5000 0.8349
5 Te 0.0000 0.0000 0.0000
6 Te 0.5000 0.5000 0.5000
7 O 0.2977 0.2977 0.0000
8 O 0.2023 0.7977 0.5000
9 O 0.7977 0.2023 0.5000
10 O 0.7023 0.7023 0.0000
11 O 0.3081 0.3081 0.3387
12 O 0.1919 0.8081 0.8387
13 O 0.8081 0.1919 0.8387
14 O 0.8081 0.1919 0.1613
15 O 0.1919 0.8081 0.1613
16 O 0.6919 0.6919 0.3387
17 O 0.3081 0.3081 0.6613
18 O 0.6919 0.6919 0.6613

Entry 2:
The following is a PBE with a Hubbard U calculation of a geometry-optimized Fe2Te4O11 structure, from the Materials Project database.

Formation enthalpy at 0 K ... -1.553 eV per atom
M_tot ... 0.00 μB/cell
Crystal system ... monoclinic

Lattice parameters (Å, degrees): 7.0552 11.9616 14.3743 57.13 90.00 90.00
Positions (direct):
1 Fe 0.7522 0.8857 0.3707
2 Fe 0.2522 0.1143 0.1293
3 Fe 0.2478 0.1143 0.6293
4 Fe 0.7478 0.8857 0.8707
5 Fe 0.4542 0.7140 0.5975
6 Fe 0.9542 0.2860 0.9025
7 Fe 0.5458 0.2860 0.4025
8 Fe 0.0458 0.7140 0.0975
9 Te 0.7967 0.6264 0.3619
10 Te 0.2037 0.7734 0.8358
11 Te 0.2963 0.7734 0.3358
12 Te 0.7963 0.2266 0.1642
13 Te 0.7037 0.2266 0.6642
14 Te 0.2967 0.3736 0.1381
15 Te 0.2033 0.3736 0.6381
16 Te 0.7033 0.6264 0.8619
17 Te 0.8941 0.5997 0.6475
18 Te 0.3941 0.4003 0.8525
19 Te 0.1059 0.4003 0.3525
20 Te 0.6059 0.5997 0.1475
21 Te 0.7440 0.0003 0.0204
22 Te 0.2440 0.9997 0.4796
23 Te 0.2560 0.9997 0.9796
24 Te 0.7560 0.0003 0.5204
25 O 0.9566 0.4687 0.6087
26 O 0.4566 0.5313 0.8913
27 O 0.0434 0.5313 0.3913
28 O 0.5434 0.4687 0.1087
29 O 0.7127 0.2790 0.5148
30 O 0.2127 0.7210 0.9852
31 O 0.2873 0.7210 0.4852
32 O 0.7873 0.2790 0.0148
33 O 0.7764 0.1673 0.8843
34 O 0.2764 0.8327 0.6157
35 O 0.2236 0.8327 0.1157
36 O 0.7236 0.1673 0.3843
37 O 0.8208 0.4570 0.7927
38 O 0.3208 0.5430 0.7073
39 O 0.1792 0.5430 0.2073
40 O 0.6792 0.4570 0.2927
41 O 0.7426 0.0429 0.7266
42 O 0.1797 0.2909 0.7967
43 O 0.3203 0.2909 0.2967
44 O 0.8203 0.7091 0.2033
45 O 0.6701 0.6320 0.5629
46 O 0.1701 0.3680 0.9371
47 O 0.3299 0.3680 0.4371
48 O 0.8299 0.6320 0.0629
49 O 0.5748 0.9071 0.4722
50 O 0.0748 0.0929 0.0278
51 O 0.4252 0.0929 0.5278
52 O 0.9252 0.9071 0.9722
53 O 0.9332 0.9309 0.4586
54 O 0.4332 0.0691 0.0414
55 O 0.0668 0.0691 0.5414
56 O 0.5668 0.9309 0.9586
57 O 0.9352 0.7600 0.3687
58 O 0.4352 0.2400 0.1313
59 O 0.0648 0.2400 0.6313
60 O 0.5648 0.7600 0.8687
61 O 0.5747 0.7911 0.3244
62 O 0.0747 0.2089 0.1756
63 O 0.4253 0.2089 0.6756
64 O 0.9253 0.7911 0.8244
65 O 0.7574 0.0429 0.2266
66 O 0.2574 0.9571 0.2734
67 O 0.2426 0.9571 0.7734
68 O 0.6797 0.7091 0.7033

Entry 3:
The following is a PBE with a Hubbard U calculation of a geometry-optimized Fe2Te3O10 structure, from the Materials Project database.

Formation enthalpy at 0 K ... -1.355 eV per atom
M_tot ... 16.00 μB/cell
Crystal system ... triclinic

Lattice parameters (Å, degrees): 7.7318 8.0483 7.9721 98.31 96.23 82.77
Positions (direct):
1 Fe 0.9630 0.8082 0.0287
2 Fe 0.0370 0.1918 0.9713
3 Fe 0.5237 0.6902 0.4669
4 Fe 0.4763 0.3098 0.5331
5 Te 0.1495 0.4806 0.2874
6 Te 0.8505 0.5194 0.7126
7 Te 0.2088 0.9694 0.3492
8 Te 0.7912 0.0306 0.6508
9 Te 0.3114 0.8552 0.8370
10 Te 0.6886 0.1448 0.1630
11 O 0.1543 0.9912 0.1082
12 O 0.8457 0.0088 0.8918
13 O 0.8175 0.9379 0.2049
14 O 0.1825 0.0621 0.7951
15 O 0.1087 0.7061 0.2226
16 O 0.8913 0.2939 0.7774
17 O 0.8191 0.6309 0.9328
18 O 0.1809 0.3691 0.0672
19 O 0.1216 0.7294 0.8433
20 O 0.8784 0.2706 0.1567
21 O 0.4369 0.8630 0.3166
22 O 0.5631 0.1370 0.6834
23 O 0.3319 0.7869 0.5959
24 O 0.6681 0.2131 0.4041
25 O 0.7177 0.7980 0.6116
26 O 0.2823 0.2020 0.3884
27 O 0.3980 0.4920 0.3560
28 O 0.6020 0.5080 0.6440
29 O 0.7142 0.6184 0.3555
30 O 0.2858 0.3816 0.6445

Entry 4:
The following is a PBE with a Hubbard U calculation of a geometry-optimized FeTe3O8 structure, from the Materials Project database.

Formation enthalpy at 0 K ... -1.429 eV per atom
M_tot ... 16.00 μB/cell
Crystal system ... cubic

Lattice parameters (Å, degrees): 9.6569 9.6569 9.6569 109.47 109.47 109.47
Positions (direct):
1 Fe 0.5000 0.5000 0.5000
2 Fe 0.0000 0.5000 0.0000
3 Fe 0.0000 0.0000 0.5000
4 Fe 0.5000 0.0000 0.0000
5 Te 0.2923 0.0423 0.2500
6 Te 0.7077 0.9577 0.7500
7 Te 0.2077 0.4577 0.7500
8 Te 0.0423 0.2500 0.2923
9 Te 0.7923 0.5423 0.2500
10 Te 0.9577 0.7500 0.7077
11 Te 0.4577 0.7500 0.2077
12 Te 0.5423 0.2500 0.7923
13 Te 0.2500 0.2923 0.0423
14 Te 0.7500 0.7077 0.9577
15 Te 0.7500 0.2077 0.4577
16 Te 0.2500 0.7923 0.5423
17 O 0.0651 0.3290 0.0275
18 O 0.9349 0.6710 0.9725
19 O 0.4349 0.4624 0.2639
20 O 0.6985 0.1710 0.2361
21 O 0.3290 0.0275 0.0651
22 O 0.5651 0.5376 0.7361
23 O 0.3015 0.8290 0.7639
24 O 0.6710 0.9725 0.9349
25 O 0.8015 0.0376 0.4725
26 O 0.4624 0.2639 0.4349
27 O 0.1985 0.9624 0.5275
28 O 0.5376 0.7361 0.5651
29 O 0.1710 0.2361 0.6985
30 O 0.8290 0.7639 0.3015
31 O 0.0376 0.4725 0.8015
32 O 0.9624 0.5275 0.1985
33 O 0.0275 0.0651 0.3290
34 O 0.9725 0.9349 0.6710
35 O 0.2361 0.6985 0.1710
36 O 0.7639 0.3015 0.8290
37 O 0.4725 0.8015 0.0376
38 O 0.5275 0.1985 0.9624
39 O 0.2639 0.4349 0.4624
40 O 0.7361 0.5651 0.5376
41 O 0.1548 0.1548 0.1548
42 O 0.8452 0.8452 0.8452
43 O 0.3452 0.5000 0.0000
44 O 0.0000 0.3452 0.5000
45 O 0.6548 0.5000 0.0000
46 O 0.0000 0.6548 0.5000
47 O 0.5000 0.0000 0.3452
48 O 0.5000 0.0000 0.6548

Entry 5:
The following is a PBE with a Hubbard U calculation of a geometry-optimized Fe2TeO5 structure, from the Materials Project database.

Formation enthalpy at 0 K ... -1.602 eV per atom
M_tot ... 40.00 μB/cell
Crystal system ... monoclinic

Lattice parameters (Å, degrees): 5.0421 7.7770 10.9544 77.01 90.00 90.00
Positions (direct):
1 Fe 0.0476 0.1851 0.9080
2 Fe 0.9524 0.8149 0.0920
3 Fe 0.5476 0.8149 0.5920
4 Fe 0.4284 0.0302 0.1311
5 Fe 0.5716 0.9698 0.8689
6 Fe 0.0716 0.0302 0.6311
7 Fe 0.4524 0.1851 0.4080
8 Fe 0.9284 0.9698 0.3689
9 Te 0.0609 0.6438 0.8333
10 Te 0.9391 0.3562 0.1667
11 Te 0.5609 0.3562 0.6667
12 Te 0.4391 0.6438 0.3333
13 O 0.8733 0.1004 0.7671
14 O 0.7026 0.7414 0.4344
15 O 0.2501 0.9490 0.4845
16 O 0.2026 0.2586 0.0656
17 O 0.8800 0.4238 0.8396
18 O 0.3800 0.5762 0.6604
19 O 0.7501 0.0510 0.0155
20 O 0.1200 0.5762 0.1604
21 O 0.1267 0.8996 0.2329
22 O 0.6011 0.7690 0.1825
23 O 0.2499 0.9490 0.9845
24 O 0.7974 0.7414 0.9344
25 O 0.8989 0.7690 0.6825
26 O 0.1011 0.2310 0.3175
27 O 0.6200 0.4238 0.3396
28 O 0.3733 0.8996 0.7329
29 O 0.2974 0.2586 0.5656
30 O 0.7499 0.0510 0.5155
31 O 0.3989 0.2310 0.8175
32 O 0.6267 0.1004 0.2671

Entry 6:
The following is a PBE with a Hubbard U calculation of a geometry-optimized V3Fe3Te2O16 structure, from the Materials Project database.

Formation enthalpy at 0 K ... -1.821 eV per atom
M_tot ... 15.00 μB/cell
Crystal system ... triclinic

Lattice parameters (Å, degrees): 5.9601 5.9968 10.4973 89.45 89.41 60.55
Positions (direct):
1 V 0.8168 0.3573 0.7565
2 V 0.1168 0.2101 0.3039
3 V 0.6451 0.1546 0.2664
4 Fe 0.3329 0.8383 0.7868
5 Fe 0.8266 0.8352 0.7865
6 Fe 0.1819 0.6634 0.3007
7 Te 0.6403 0.7247 0.5067
8 Te 0.3297 0.3342 0.9771
9 O 0.3313 0.8556 0.3966
10 O 0.5203 0.9580 0.6586
11 O 0.6758 0.6391 0.8733
12 O 0.9914 0.0165 0.7028
13 O 0.0022 0.0097 0.2098
14 O 0.8236 0.8587 0.4000
15 O 0.5326 0.4922 0.6704
16 O 0.9669 0.4982 0.6694
17 O 0.1685 0.6559 0.8803
18 O 0.8595 0.3126 0.4029
19 O 0.0299 0.4736 0.2042
20 O 0.5096 0.4597 0.1971
21 O 0.3533 0.2966 0.3857
22 O 0.1723 0.1678 0.8886
23 O 0.5174 0.0207 0.1718
24 O 0.6552 0.1674 0.8880

Entry 7:
The following is a PBE with a Hubbard U calculation of a geometry-optimized Ti5Fe7O18 structure, from the Materials Project database.

Formation enthalpy at 0 K ... -2.181 eV per atom
M_tot ... 3.90 μB/cell
Crystal system ... triclinic
Energy above the lowest structure with this stoichiometry ... 0.353 eV per atom

Lattice parameters (Å, degrees): 5.5940 9.1879 12.7676 87.98 87.15 84.48
Positions (direct):
1 Ti 0.7061 0.2417 0.1157
2 Ti 0.2891 0.7625 0.3845
3 Ti 0.7025 0.5685 0.2916
4 Ti 0.7931 0.9325 0.7151
5 Ti 0.2202 0.0673 0.2817
6 Ti 0.2093 0.7348 0.6189
7 Ti 0.2957 0.4280 0.7151
8 Ti 0.7070 0.2356 0.6151
9 Ti 0.2029 0.4104 0.9482
10 Ti 0.7022 0.8997 0.9508
11 Fe 0.2866 0.0943 0.0496
12 Fe 0.7951 0.6002 0.0476
13 Fe 0.2134 0.7361 0.1177
14 Fe 0.2901 0.4298 0.2145
15 Fe 0.7126 0.9092 0.4524
16 Fe 0.7914 0.5950 0.5515
17 Fe 0.7998 0.9254 0.2137
18 Fe 0.7954 0.2665 0.3816
19 Fe 0.2097 0.0704 0.7872
20 Fe 0.2063 0.4023 0.4503
21 Fe 0.2873 0.0967 0.5486
22 Fe 0.7127 0.5730 0.7850
23 Fe 0.7854 0.2602 0.8826
24 Fe 0.2901 0.7648 0.8816
25 O 0.6700 0.4405 0.1441
26 O 0.9873 0.2276 0.0290
27 O 0.9785 0.4448 0.3168
28 O 0.1564 0.5136 0.0756
29 O 0.1552 0.6288 0.4754
30 O 0.1433 0.9562 0.1524
31 O 0.3574 0.2014 0.1884
32 O 0.3525 0.6593 0.2595
33 O 0.5140 0.4035 0.3466
34 O 0.5143 0.7327 0.0120
35 O 0.4974 0.9422 0.3105
36 O 0.6503 0.6845 0.4102
37 O 0.6581 0.0108 0.0802
38 O 0.6493 0.1266 0.4802
39 O 0.8277 0.7102 0.1915
40 O 0.8511 0.8189 0.5932
41 O 0.8384 0.1564 0.2434
42 O 0.0212 0.8965 0.3458
43 O 0.9831 0.1075 0.6513
44 O 0.1560 0.8444 0.7408
45 O 0.1470 0.1754 0.4020
46 O 0.1644 0.2954 0.8144
47 O 0.3402 0.8693 0.5193
48 O 0.3546 0.9883 0.9226
49 O 0.3461 0.3199 0.5920
50 O 0.5239 0.0584 0.6829
51 O 0.4769 0.6065 0.6515
52 O 0.4725 0.2712 0.9926
53 O 0.6498 0.3475 0.7388
54 O 0.6661 0.7953 0.8099
55 O 0.8391 0.0396 0.8564
56 O 0.8429 0.3719 0.5240
57 O 0.8602 0.4789 0.9216
58 O 0.0276 0.5600 0.6820
59 O 0.9764 0.7749 0.9854
60 O 0.3469 0.5363 0.8571

Entry 8:
The following is a PBE with a Hubbard U calculation of a geometry-optimized TiFe11O16 structure, from the Materials Project database.

Formation enthalpy at 0 K ... -1.743 eV per atom
M_tot ... 150.00 μB/cell
Crystal system ... triclinic
Energy above the lowest structure with this stoichiometry ... 0.026 eV per atom

Lattice parameters (Å, degrees): 6.0381 12.0695 18.0861 59.95 59.98 59.97
Positions (direct):
1 Ti 0.5011 0.2504 0.1660
2 Ti 0.4991 0.5000 0.5001
3 Ti 0.0003 0.7497 0.8332
4 Fe 0.1260 0.0653 0.0412
5 Fe 0.4998 0.2485 0.9967
6 Fe 0.1300 0.0599 0.3745
7 Fe 0.1259 0.5622 0.0414
8 Fe 0.5030 0.9949 0.1659
9 Fe 0.0088 0.2457 0.4996
10 Fe 0.4911 0.7507 0.0026
11 Fe 0.1185 0.0633 0.7108
12 Fe 0.4989 0.0003 0.5004
13 Fe 0.4985 0.2511 0.3361
14 Fe 0.4985 0.5049 0.1670
15 Fe 0.1215 0.5641 0.3761
16 Fe 0.9988 0.2511 0.1668
17 Fe 0.5008 0.7499 0.1661
18 Fe 0.4999 0.2456 0.5001
19 Fe 0.5015 0.2473 0.6692
20 Fe 0.1276 0.5603 0.7094
21 Fe 0.5011 0.7534 0.3304
22 Fe 0.4916 0.0047 0.8345
23 Fe 0.8750 0.4371 0.2916
24 Fe 0.4994 0.2503 0.8338
25 Fe 0.0013 0.7501 0.1659
26 Fe 0.4989 0.7535 0.5010
27 Fe 0.5086 0.7490 0.6644
28 Fe 0.8745 0.4346 0.6257
29 Fe 0.5081 0.4957 0.8319
30 Fe 0.8730 0.9388 0.2910
31 Fe 0.9997 0.2508 0.8333
32 Fe 0.9907 0.7534 0.5012
33 Fe 0.5011 0.7493 0.8331
34 Fe 0.8781 0.4360 0.9570
35 Fe 0.8742 0.9395 0.6252
36 Fe 0.8756 0.9384 0.9562
37 O 0.2544 0.1300 0.0864
38 O 0.2685 0.1331 0.2413
39 O 0.2669 0.3636 0.0872
40 O 0.7265 0.1345 0.0871
41 O 0.2737 0.3668 0.2441
42 O 0.2589 0.6264 0.0847
43 O 0.2575 0.1284 0.4175
44 O 0.2509 0.1288 0.5797
45 O 0.2561 0.8688 0.0839
46 O 0.7335 0.1377 0.2438
47 O 0.2528 0.3676 0.4195
48 O 0.2529 0.6285 0.2452
49 O 0.7362 0.3676 0.0899
50 O 0.7451 0.3709 0.2475
51 O 0.7370 0.1269 0.4178
52 O 0.7344 0.6274 0.0841
53 O 0.2644 0.8731 0.2485
54 O 0.2572 0.1281 0.7520
55 O 0.2721 0.3787 0.5800
56 O 0.2652 0.6205 0.4230
57 O 0.7417 0.1364 0.5823
58 O 0.2690 0.1355 0.9089
59 O 0.2700 0.3620 0.7568
60 O 0.7436 0.6337 0.2484
61 O 0.2662 0.6193 0.5766
62 O 0.2581 0.8629 0.4193
63 O 0.7325 0.3792 0.4249
64 O 0.7458 0.8738 0.0872
65 O 0.7341 0.3791 0.5777
66 O 0.7436 0.8729 0.2474
67 O 0.7224 0.1356 0.7576
68 O 0.7245 0.6205 0.4228
69 O 0.2670 0.8714 0.5825
70 O 0.2743 0.3665 0.9093
71 O 0.2407 0.6336 0.7550
72 O 0.7449 0.6311 0.5821
73 O 0.7329 0.1368 0.9094
74 O 0.7316 0.3642 0.7577
75 O 0.2427 0.6308 0.9089
76 O 0.2396 0.8635 0.7561
77 O 0.7464 0.8708 0.4220
78 O 0.7432 0.8725 0.5828
79 O 0.7394 0.3718 0.9153
80 O 0.7321 0.6261 0.7528
81 O 0.2711 0.8731 0.9132
82 O 0.7607 0.6352 0.9112
83 O 0.7575 0.8687 0.7581
84 O 0.7597 0.8659 0.9109